Computed, not measured: an optimized crystal structure of Na4Co2C4SO16 at the GGA+U level of DFT.

Results
Crystal system: triclinic
E_form (meV/atom): -1817
Energy above the lowest structure with this stoichiometry (meV/atom): 0

abc: 9.967 9.780 9.855
angles: 119.55 59.56 119.41
Element x y z (fractional)
1 C 0.289 0.218 0.288
2 C 0.285 0.858 0.288
3 C 0.714 0.143 0.715
4 C 0.359 0.787 0.717
5 C 0.713 0.786 0.712
6 C 0.643 0.217 0.285
7 C 0.715 0.789 0.360
8 C 0.283 0.212 0.645
9 O 0.931 0.555 0.935
10 O 0.688 0.640 0.349
11 O 0.860 0.809 0.602
12 O 0.600 0.150 0.862
13 O 0.393 0.178 0.645
14 O 0.322 0.109 0.140
15 O 0.352 0.640 0.607
16 O 0.647 0.107 0.316
17 O 0.934 0.809 0.937
18 O 0.403 0.358 0.321
19 O 0.056 0.431 0.308
20 O 0.685 0.901 0.855
21 O 0.855 0.901 0.361
22 O 0.860 0.154 0.690
23 O 0.693 0.566 0.935
24 O 0.311 0.359 0.650
25 O 0.648 0.187 0.138
26 O 0.318 0.865 0.401
27 O 0.363 0.817 0.858
28 O 0.647 0.364 0.393
29 O 0.350 0.898 0.689
30 O 0.063 0.435 0.059
31 O 0.944 0.566 0.688
32 O 0.138 0.846 0.318
33 O 0.685 0.134 0.597
34 O 0.603 0.821 0.363
35 O 0.063 0.185 0.060
36 O 0.307 0.430 0.057
37 O 0.597 0.647 0.683
38 O 0.142 0.191 0.397
39 O 0.396 0.856 0.140
40 O 0.139 0.101 0.650
41 Na 0.093 0.830 0.651
42 Na 0.349 0.592 0.916
43 Na 0.339 0.160 0.911
44 Na 0.912 0.587 0.338
45 Na 0.908 0.152 0.329
46 Na 0.907 0.153 0.916
47 Na 0.651 0.418 0.096
48 Na 0.094 0.415 0.651
49 Co 0.497 0.998 0.004
50 Co 0.501 0.503 0.502
51 Co 0.502 0.997 0.495
52 Co 0.000 0.998 0.496
53 S 0.124 0.373 0.123
54 S 0.875 0.624 0.874